No. 1
This record from Materials Project describes Er3OF10 after structural relaxation. The functional is PBE.

Energy of formation from the pure elements   -3.688 eV/atom
Spin magnetization   3.0 μB per formula unit

a b c (Å): 8.1327 8.1327 8.1327
angles (deg): 60.00 60.00 60.00
Last column: nearest neighbours and their distance in Å.
Fractional positions:
Er: 0.2405 0.2405 0.7595  8 F 2.18-2.35
Er: 0.2405 0.7595 0.2405  8 F 2.18-2.35
Er: 0.2405 0.7595 0.7595  8 F 2.18-2.35
Er: 0.7595 0.2405 0.2405  8 F 2.18-2.35
Er: 0.7595 0.2405 0.7595  8 F 2.18-2.35
Er: 0.7595 0.7595 0.2405  8 F 2.18-2.35
O: 0.2500 0.2500 0.2500  4 F 2.73
O: 0.7500 0.7500 0.7500  4 F 2.73
F: 0.1129 0.1129 0.1129  3 Er 2.35, 3 F 2.60
F: 0.1129 0.1129 0.6613  3 Er 2.35, 3 F 2.60
F: 0.1129 0.6613 0.1129  3 Er 2.35, 3 F 2.60
F: 0.1716 0.5000 0.5000  2 Er 2.18
F: 0.1716 0.5000 0.8284  2 Er 2.18
F: 0.1716 0.8284 0.5000  2 Er 2.18
F: 0.3387 0.8871 0.8871  3 Er 2.35, 3 F 2.60
F: 0.5000 0.1716 0.5000  2 Er 2.18
F: 0.5000 0.1716 0.8284  2 Er 2.18
F: 0.5000 0.5000 0.1716  2 Er 2.18
F: 0.5000 0.5000 0.8284  2 Er 2.18
F: 0.5000 0.8284 0.1716  2 Er 2.18
F: 0.5000 0.8284 0.5000  2 Er 2.18
F: 0.6613 0.1129 0.1129  3 Er 2.35, 3 F 2.60
F: 0.8284 0.1716 0.5000  2 Er 2.18
F: 0.8284 0.5000 0.1716  2 Er 2.18
F: 0.8284 0.5000 0.5000  2 Er 2.18
F: 0.8871 0.3387 0.8871  3 Er 2.35, 3 F 2.60
F: 0.8871 0.8871 0.3387  3 Er 2.35, 3 F 2.60
F: 0.8871 0.8871 0.8871  3 Er 2.35, 3 F 2.60



No. 2
This record from Materials Project describes Te2MoW2Se2S2 after structural relaxation. The functional is PBE.

Energy of formation from the pure elements   -0.579 eV/atom
Spin magnetization   0.0 μB per formula unit
Excess energy over the best structure of this formula in the dataset   0.254 eV per formula unit

a b c (Å): 3.3487 3.3487 31.0665
angles (deg): 90.00 90.00 120.00
Last column: nearest neighbours and their distance in Å.
Fractional positions:
Te: 0.0000 0.0000 0.0000  3 W 2.71
Te: 0.0000 0.0000 0.1226  3 W 2.71
Mo: 0.0000 0.0000 0.8299  6 Se 2.55
W: 0.0000 0.0000 0.2927  6 S 2.46
W: 0.3333 0.6667 0.0613  6 Te 2.71
Se: 0.3333 0.6667 0.7763  3 Mo 2.55
Se: 0.3333 0.6667 0.8835  3 Mo 2.55
S: 0.3333 0.6667 0.2437  3 W 2.46
S: 0.3333 0.6667 0.3416  3 W 2.46



Question: What is the spin magnetization in the first record?
Answer: 3.0 μB per formula unit